1.
Density functional theory data (r2SCAN) for crystalline Gd2ZnRh at its relaxed geometry.

abc: 7.023 7.023 7.023
angles: 90.00 90.00 90.00
Space group Fm-3m (No. 225)
Asymmetric unit:
Gd: 0.250 0.250 0.250 [8 per cell]
Zn: 0.000 0.000 0.000 [4 per cell]
Rh: 0.000 0.000 0.500 [4 per cell]

Values from the calculation:
energy of formation	-0.533	eV per atom
total DFT energy (no corrections)	-30.493	eV/atom
M_tot	14.4	μB/f.u.

2.
Density functional theory data (r2SCAN) for crystalline Gd2S3 at its relaxed geometry.

abc: 7.392 3.938 15.294
angles: 90.00 90.00 90.00
Space group Pnma (No. 62)
Asymmetric unit:
Gd: 0.139 0.250 0.205 [4 per cell]
Gd: 0.234 0.750 0.457 [4 per cell]
S: 0.010 0.250 0.392 [4 per cell]
S: 0.124 0.750 0.068 [4 per cell]
S: 0.152 0.250 0.781 [4 per cell]

Values from the calculation:
energy of formation	-2.335	eV per atom
total DFT energy (no corrections)	-24.514	eV/atom
M_tot	14.0	μB/f.u.

3.
Density functional theory data (r2SCAN) for crystalline Gd10S19 at its relaxed geometry.

abc: 8.754 8.754 15.887
angles: 90.00 90.00 90.00
Space group P4_2/n (No. 86, origin choice 2)
Asymmetric unit:
Gd: 0.041 0.348 0.122 [8 per cell]
Gd: 0.055 0.354 0.603 [8 per cell]
Gd: 0.250 0.750 0.115 [4 per cell]
S: 0.030 0.805 0.249 [8 per cell]
S: 0.048 0.348 0.427 [8 per cell]
S: 0.054 0.351 0.938 [8 per cell]
S: 0.075 0.886 0.750 [8 per cell]
S: 0.250 0.250 0.250 [2 per cell]
S: 0.250 0.750 0.435 [4 per cell]

Values from the calculation:
energy of formation	-2.035	eV per atom
total DFT energy (no corrections)	-22.263	eV/atom
M_tot	14.0	μB/f.u.

4.
Density functional theory data (r2SCAN) for crystalline Gd2S3 at its relaxed geometry.

abc: 10.572 3.924 10.748
angles: 90.00 90.02 90.00
Space group Pm (No. 6)
Asymmetric unit:
Gd: 0.000 0.000 0.000 [1 per cell]
Gd: 0.010 0.500 0.617 [1 per cell]
Gd: 0.193 0.000 0.317 [1 per cell]
Gd: 0.319 0.000 0.817 [1 per cell]
Gd: 0.501 0.500 0.117 [1 per cell]
Gd: 0.511 0.000 0.499 [1 per cell]
Gd: 0.692 0.500 0.799 [1 per cell]
Gd: 0.819 0.500 0.299 [1 per cell]
S: 0.060 0.500 0.188 [1 per cell]
S: 0.132 0.500 0.855 [1 per cell]
S: 0.201 0.000 0.580 [1 per cell]
S: 0.309 0.000 0.080 [1 per cell]
S: 0.380 0.500 0.355 [1 per cell]
S: 0.449 0.500 0.688 [1 per cell]
S: 0.561 0.000 0.928 [1 per cell]
S: 0.633 0.000 0.261 [1 per cell]
S: 0.702 0.500 0.536 [1 per cell]
S: 0.808 0.500 0.036 [1 per cell]
S: 0.878 0.000 0.762 [1 per cell]
S: 0.949 0.000 0.428 [1 per cell]

Values from the calculation:
energy of formation	-2.192	eV per atom
total DFT energy (no corrections)	-24.372	eV/atom
M_tot	0.5	μB/f.u.

5.
Density functional theory data (r2SCAN) for crystalline Gd3Sc2S7 at its relaxed geometry.

abc: 12.486 3.774 11.451
angles: 90.00 105.44 90.00
Space group C2/m (No. 12)
Asymmetric unit:
Gd: 0.000 0.000 0.000 [2 per cell]
Gd: 0.195 0.500 0.797 [4 per cell]
Sc: 0.112 0.000 0.430 [4 per cell]
S: 0.000 0.500 0.500 [2 per cell]
S: 0.030 0.000 0.775 [4 per cell]
S: 0.163 0.500 0.055 [4 per cell]
S: 0.235 0.500 0.364 [4 per cell]

Values from the calculation:
energy of formation	-2.277	eV per atom
total DFT energy (no corrections)	-19.713	eV/atom
M_tot	6.8	μB/f.u.

6.
Density functional theory data (r2SCAN) for crystalline Gd4Si3S12 at its relaxed geometry.

abc: 9.956 11.091 17.319
angles: 90.00 111.19 90.00
Space group P2_1/c (No. 14)
Asymmetric unit:
Gd: 0.015 0.018 0.125 [4 per cell]
Gd: 0.100 0.624 0.131 [4 per cell]
Gd: 0.317 0.652 0.941 [4 per cell]
Gd: 0.468 0.239 0.289 [4 per cell]
Si: 0.023 0.215 0.734 [4 per cell]
Si: 0.259 0.618 0.560 [4 per cell]
Si: 0.396 0.052 0.617 [4 per cell]
S: 0.067 0.544 0.813 [4 per cell]
S: 0.099 0.740 0.486 [4 per cell]
S: 0.108 0.212 0.864 [4 per cell]
S: 0.158 0.665 0.311 [4 per cell]
S: 0.184 0.223 0.191 [4 per cell]
S: 0.185 0.056 0.028 [4 per cell]
S: 0.191 0.025 0.524 [4 per cell]
S: 0.264 0.653 0.683 [4 per cell]
S: 0.380 0.522 0.227 [4 per cell]
S: 0.450 0.063 0.406 [4 per cell]
S: 0.459 0.654 0.553 [4 per cell]
S: 0.475 0.228 0.627 [4 per cell]

Values from the calculation:
energy of formation	-1.611	eV per atom
total DFT energy (no corrections)	-17.207	eV/atom
M_tot	28.0	μB/f.u.

7.
Density functional theory data (r2SCAN) for crystalline SmGdS3 at its relaxed geometry.

abc: 7.402 3.967 15.382
angles: 90.00 90.00 90.00
Space group Pnma (No. 62)
Asymmetric unit:
Sm: 0.143 0.250 0.204 [4 per cell]
Gd: 0.233 0.750 0.457 [4 per cell]
S: 0.010 0.250 0.392 [4 per cell]
S: 0.125 0.750 0.066 [4 per cell]
S: 0.149 0.250 0.782 [4 per cell]

Values from the calculation:
energy of formation	-2.364	eV per atom
total DFT energy (no corrections)	-21.811	eV/atom
M_tot	7.0	μB/f.u.

8.
Density functional theory data (r2SCAN) for crystalline GdTlS2 at its relaxed geometry.

abc: 4.0673 4.0673 22.4608
angles: 90.00 90.00 120.00
Space group R-3m (No. 166, hexagonal axes)
Asymmetric unit:
Gd: 0.0000 0.0000 0.0000 [3 per cell]
Tl: 0.0000 0.0000 0.5000 [3 per cell]
S: 0.0000 0.0000 0.2666 [6 per cell]

Values from the calculation:
energy of formation	-1.677	eV per atom
total DFT energy (no corrections)	-29.838	eV/atom
M_tot	7.0	μB/f.u.

9.
Density functional theory data (r2SCAN) for crystalline Gd2US5 at its relaxed geometry.

abc: 11.775 8.009 7.444
angles: 90.00 90.00 90.00
Space group Pnma (No. 62)
Asymmetric unit:
Gd: 0.178 0.001 0.016 [8 per cell]
U: 0.010 0.750 0.575 [4 per cell]
S: 0.000 0.250 0.040 [4 per cell]
S: 0.099 0.043 0.661 [8 per cell]
S: 0.185 0.750 0.327 [4 per cell]
S: 0.216 0.250 0.299 [4 per cell]

Values from the calculation:
energy of formation	-2.147	eV per atom
total DFT energy (no corrections)	-28.010	eV/atom
M_tot	12.0	μB/f.u.

10.
Density functional theory data (r2SCAN) for crystalline Gd2ZrS5 at its relaxed geometry.

abc: 11.599 7.830 7.302
angles: 90.00 90.00 90.00
Space group Pnma (No. 62)
Asymmetric unit:
Gd: 0.178 0.002 0.024 [8 per cell]
Zr: 0.007 0.750 0.577 [4 per cell]
S: 0.004 0.750 0.948 [4 per cell]
S: 0.092 0.037 0.661 [8 per cell]
S: 0.182 0.750 0.335 [4 per cell]
S: 0.208 0.250 0.312 [4 per cell]

Values from the calculation:
energy of formation	-2.155	eV per atom
total DFT energy (no corrections)	-20.870	eV/atom
M_tot	14.0	μB/f.u.

11.
Density functional theory data (r2SCAN) for crystalline Gd4Sb3 at its relaxed geometry.

abc: 7.999 8.071 8.100
angles: 109.37 109.53 109.17
Space group P1 (No. 1)
Asymmetric unit:
Gd: 0.000 0.000 0.000 [1 per cell]
Gd: 0.001 0.997 0.496 [1 per cell]
Gd: 0.137 0.493 0.851 [1 per cell]
Gd: 0.349 0.857 0.708 [1 per cell]
Gd: 0.492 0.639 0.352 [1 per cell]
Gd: 0.494 0.138 0.345 [1 per cell]
Gd: 0.641 0.496 0.850 [1 per cell]
Gd: 0.850 0.346 0.209 [1 per cell]
Sb: 0.118 0.739 0.223 [1 per cell]
Sb: 0.249 0.372 0.480 [1 per cell]
Sb: 0.373 0.254 0.979 [1 per cell]
Sb: 0.617 0.865 0.098 [1 per cell]
Sb: 0.743 0.120 0.723 [1 per cell]
Sb: 0.871 0.624 0.604 [1 per cell]

Values from the calculation:
energy of formation	-1.161	eV per atom
total DFT energy (no corrections)	-36.976	eV/atom
M_tot	9.2	μB/f.u.

12.
Density functional theory data (r2SCAN) for crystalline GdSb at its relaxed geometry.

abc: 6.272 6.272 6.272
angles: 90.00 90.00 90.00
Space group Fm-3m (No. 225)
Asymmetric unit:
Gd: 0.000 0.000 0.000 [4 per cell]
Sb: 0.000 0.000 0.500 [4 per cell]

Values from the calculation:
energy of formation	-1.336	eV per atom
total DFT energy (no corrections)	-35.888	eV/atom
M_tot	7.0	μB/f.u.

Repeat the tenth record exactly.
Density functional theory data (r2SCAN) for crystalline Gd2ZrS5 at its relaxed geometry.

abc: 11.599 7.830 7.302
angles: 90.00 90.00 90.00
Space group Pnma (No. 62)
Asymmetric unit:
Gd: 0.178 0.002 0.024 [8 per cell]
Zr: 0.007 0.750 0.577 [4 per cell]
S: 0.004 0.750 0.948 [4 per cell]
S: 0.092 0.037 0.661 [8 per cell]
S: 0.182 0.750 0.335 [4 per cell]
S: 0.208 0.250 0.312 [4 per cell]

Values from the calculation:
energy of formation	-2.155	eV per atom
total DFT energy (no corrections)	-20.870	eV/atom
M_tot	14.0	μB/f.u.

What did the tenth record say?
Density functional theory data (r2SCAN) for crystalline Gd2ZrS5 at its relaxed geometry.

abc: 11.599 7.830 7.302
angles: 90.00 90.00 90.00
Space group Pnma (No. 62)
Asymmetric unit:
Gd: 0.178 0.002 0.024 [8 per cell]
Zr: 0.007 0.750 0.577 [4 per cell]
S: 0.004 0.750 0.948 [4 per cell]
S: 0.092 0.037 0.661 [8 per cell]
S: 0.182 0.750 0.335 [4 per cell]
S: 0.208 0.250 0.312 [4 per cell]

Values from the calculation:
energy of formation	-2.155	eV per atom
total DFT energy (no corrections)	-20.870	eV/atom
M_tot	14.0	μB/f.u.

What did the sixth record say?
Density functional theory data (r2SCAN) for crystalline Gd4Si3S12 at its relaxed geometry.

abc: 9.956 11.091 17.319
angles: 90.00 111.19 90.00
Space group P2_1/c (No. 14)
Asymmetric unit:
Gd: 0.015 0.018 0.125 [4 per cell]
Gd: 0.100 0.624 0.131 [4 per cell]
Gd: 0.317 0.652 0.941 [4 per cell]
Gd: 0.468 0.239 0.289 [4 per cell]
Si: 0.023 0.215 0.734 [4 per cell]
Si: 0.259 0.618 0.560 [4 per cell]
Si: 0.396 0.052 0.617 [4 per cell]
S: 0.067 0.544 0.813 [4 per cell]
S: 0.099 0.740 0.486 [4 per cell]
S: 0.108 0.212 0.864 [4 per cell]
S: 0.158 0.665 0.311 [4 per cell]
S: 0.184 0.223 0.191 [4 per cell]
S: 0.185 0.056 0.028 [4 per cell]
S: 0.191 0.025 0.524 [4 per cell]
S: 0.264 0.653 0.683 [4 per cell]
S: 0.380 0.522 0.227 [4 per cell]
S: 0.450 0.063 0.406 [4 per cell]
S: 0.459 0.654 0.553 [4 per cell]
S: 0.475 0.228 0.627 [4 per cell]

Values from the calculation:
energy of formation	-1.611	eV per atom
total DFT energy (no corrections)	-17.207	eV/atom
M_tot	28.0	μB/f.u.

> Which value of energy of formation does entry 12 give?

-1.336 eV per atom